Entry 1:
A plane-wave DFT calculation with PBE with a Hubbard U was carried out for an optimized crystal structure of Zn3Fe2Ge3O12.

Results
Space group: Ia-3d

Lattice parameters (Å, degrees): 10.522 10.522 10.522 109.47 109.47 109.47
Fractional positions:
Zn 0.125 0.250 0.375
Zn 0.125 0.375 0.750
Zn 0.250 0.375 0.125
Zn 0.250 0.875 0.625
Zn 0.375 0.125 0.250
Zn 0.375 0.750 0.125
Zn 0.625 0.250 0.875
Zn 0.625 0.875 0.750
Zn 0.750 0.125 0.375
Zn 0.750 0.625 0.875
Zn 0.875 0.625 0.250
Zn 0.875 0.750 0.625
Fe 0.000 0.000 0.000
Fe 0.000 0.000 0.500
Fe 0.000 0.500 0.000
Fe 0.000 0.500 0.500
Fe 0.500 0.000 0.000
Fe 0.500 0.000 0.500
Fe 0.500 0.500 0.000
Fe 0.500 0.500 0.500
Ge 0.125 0.750 0.875
Ge 0.125 0.875 0.250
Ge 0.250 0.125 0.875
Ge 0.250 0.625 0.375
Ge 0.375 0.250 0.625
Ge 0.375 0.625 0.750
Ge 0.625 0.375 0.250
Ge 0.625 0.750 0.375
Ge 0.750 0.375 0.625
Ge 0.750 0.875 0.125
Ge 0.875 0.125 0.750
Ge 0.875 0.250 0.125
O 0.026 0.209 0.127
O 0.026 0.317 0.899
O 0.082 0.709 0.683
O 0.082 0.873 0.399
O 0.101 0.627 0.418
O 0.101 0.974 0.683
O 0.127 0.026 0.209
O 0.127 0.601 0.918
O 0.183 0.209 0.582
O 0.183 0.474 0.601
O 0.209 0.127 0.026
O 0.209 0.582 0.183
O 0.291 0.317 0.918
O 0.291 0.474 0.373
O 0.317 0.899 0.026
O 0.317 0.918 0.291
O 0.373 0.291 0.474
O 0.373 0.582 0.899
O 0.399 0.082 0.873
O 0.399 0.817 0.526
O 0.418 0.101 0.627
O 0.418 0.817 0.791
O 0.474 0.373 0.291
O 0.474 0.601 0.183
O 0.526 0.399 0.817
O 0.526 0.627 0.709
O 0.582 0.183 0.209
O 0.582 0.899 0.373
O 0.601 0.183 0.474
O 0.601 0.918 0.127
O 0.627 0.418 0.101
O 0.627 0.709 0.526
O 0.683 0.082 0.709
O 0.683 0.101 0.974
O 0.709 0.526 0.627
O 0.709 0.683 0.082
O 0.791 0.418 0.817
O 0.791 0.873 0.974
O 0.817 0.526 0.399
O 0.817 0.791 0.418
O 0.873 0.399 0.082
O 0.873 0.974 0.791
O 0.899 0.026 0.317
O 0.899 0.373 0.582
O 0.918 0.127 0.601
O 0.918 0.291 0.317
O 0.974 0.683 0.101
O 0.974 0.791 0.873


Entry 2:
A plane-wave DFT calculation with PBE with a Hubbard U was carried out for an optimized crystal structure of CaNiGe2O6.

Results
Energy above the most stable polymorph in this dataset, eV/atom: 0.0185
Space group: P2_1/c

Lattice parameters (Å, degrees): 10.249 9.175 5.314 90.00 104.05 90.00
Fractional positions:
Ca 0.224 0.046 0.029
Ca 0.224 0.454 0.529
Ca 0.776 0.546 0.471
Ca 0.776 0.954 0.971
Ni 0.266 0.665 0.035
Ni 0.266 0.835 0.535
Ni 0.734 0.165 0.465
Ni 0.734 0.335 0.965
Ge 0.012 0.149 0.408
Ge 0.012 0.351 0.908
Ge 0.456 0.153 0.669
Ge 0.456 0.347 0.169
Ge 0.544 0.653 0.831
Ge 0.544 0.847 0.331
Ge 0.988 0.649 0.092
Ge 0.988 0.851 0.592
O 0.082 0.524 0.849
O 0.082 0.976 0.349
O 0.103 0.248 0.689
O 0.103 0.252 0.189
O 0.152 0.673 0.294
O 0.152 0.827 0.794
O 0.360 0.011 0.736
O 0.360 0.489 0.236
O 0.368 0.654 0.747
O 0.368 0.846 0.247
O 0.399 0.191 0.324
O 0.399 0.309 0.824
O 0.601 0.691 0.176
O 0.601 0.809 0.676
O 0.632 0.154 0.753
O 0.632 0.346 0.253
O 0.640 0.511 0.764
O 0.640 0.989 0.264
O 0.848 0.173 0.206
O 0.848 0.327 0.706
O 0.897 0.748 0.811
O 0.897 0.752 0.311
O 0.918 0.024 0.651
O 0.918 0.476 0.151


Entry 3:
A plane-wave DFT calculation with PBE with a Hubbard U was carried out for an optimized crystal structure of Ba2La3Ti2Cr3O15.

Lattice parameters (Å, degrees): 5.644 7.939 14.234 90.00 101.44 90.00
Fractional positions:
Ba 0.998 0.000 0.997
Ba 0.998 0.500 0.997
Ba 0.601 0.000 0.203
Ba 0.601 0.500 0.203
La 0.800 0.000 0.600
La 0.800 0.500 0.600
La 0.203 0.000 0.406
La 0.203 0.500 0.406
La 0.397 0.000 0.794
La 0.397 0.500 0.794
Ti 0.102 0.250 0.204
Ti 0.102 0.750 0.204
Ti 0.498 0.250 0.996
Ti 0.498 0.750 0.996
Cr 0.300 0.750 0.600
Cr 0.701 0.250 0.403
Cr 0.899 0.250 0.797
Cr 0.300 0.250 0.600
Cr 0.701 0.750 0.403
Cr 0.899 0.750 0.797
O 0.300 0.000 0.600
O 0.300 0.500 0.600
O 0.800 0.250 0.100
O 0.800 0.750 0.100
O 0.300 0.250 0.100
O 0.300 0.750 0.100
O 0.496 0.000 0.993
O 0.496 0.500 0.993
O 0.104 0.000 0.207
O 0.104 0.500 0.207
O 0.705 0.000 0.411
O 0.705 0.500 0.411
O 0.895 0.000 0.789
O 0.895 0.500 0.789
O 0.388 0.250 0.306
O 0.388 0.750 0.306
O 0.918 0.250 0.306
O 0.918 0.750 0.306
O 0.212 0.250 0.894
O 0.212 0.750 0.894
O 0.682 0.250 0.894
O 0.682 0.750 0.894
O 0.002 0.250 0.501
O 0.002 0.750 0.501
O 0.598 0.250 0.699
O 0.598 0.750 0.699
O 0.499 0.250 0.501
O 0.499 0.750 0.501
O 0.101 0.250 0.699
O 0.101 0.750 0.699


Entry 4:
A plane-wave DFT calculation with PBE with a Hubbard U was carried out for an optimized crystal structure of Ti2VP3O12.

Results
Space group: R-3c

Lattice parameters (Å, degrees): 8.584 8.584 8.584 60.91 60.91 60.91
Fractional positions:
Ti 0.144 0.144 0.144
Ti 0.356 0.356 0.356
Ti 0.644 0.644 0.644
Ti 0.856 0.856 0.856
V 0.000 0.000 0.000
V 0.500 0.500 0.500
P 0.043 0.750 0.457
P 0.250 0.543 0.957
P 0.457 0.043 0.750
P 0.543 0.957 0.250
P 0.750 0.457 0.043
P 0.957 0.250 0.543
O 0.001 0.183 0.385
O 0.057 0.910 0.263
O 0.090 0.737 0.943
O 0.115 0.317 0.499
O 0.183 0.385 0.001
O 0.237 0.590 0.443
O 0.263 0.057 0.910
O 0.317 0.499 0.115
O 0.385 0.001 0.183
O 0.410 0.557 0.763
O 0.443 0.237 0.590
O 0.499 0.115 0.317
O 0.501 0.885 0.683
O 0.557 0.763 0.410
O 0.590 0.443 0.237
O 0.615 0.999 0.817
O 0.683 0.501 0.885
O 0.737 0.943 0.090
O 0.763 0.410 0.557
O 0.817 0.615 0.999
O 0.885 0.683 0.501
O 0.910 0.263 0.057
O 0.943 0.090 0.737
O 0.999 0.817 0.615


Entry 5:
A plane-wave DFT calculation with PBE with a Hubbard U was carried out for an optimized crystal structure of Li9Mn2Co5O16.

Results
Energy above the most stable polymorph in this dataset, eV/atom: 0.0597
Space group: P1

Lattice parameters (Å, degrees): 2.955 9.743 10.109 85.81 86.99 83.56
Fractional positions:
Li 0.000 0.000 0.000
Li 0.005 0.997 0.495
Li 0.252 0.500 0.368
Li 0.270 0.482 0.867
Li 0.507 0.996 0.246
Li 0.518 0.999 0.753
Li 0.763 0.494 0.122
Li 0.780 0.490 0.629
Li 0.866 0.255 0.808
Mn 0.392 0.246 0.565
Mn 0.629 0.749 0.937
Co 0.134 0.749 0.684
Co 0.142 0.743 0.185
Co 0.382 0.245 0.052
Co 0.639 0.742 0.434
Co 0.898 0.242 0.308
O 0.041 0.869 0.844
O 0.080 0.856 0.338
O 0.196 0.631 0.524
O 0.215 0.631 0.033
O 0.301 0.353 0.212
O 0.322 0.364 0.700
O 0.443 0.132 0.925
O 0.489 0.132 0.404
O 0.550 0.860 0.093
O 0.563 0.863 0.593
O 0.703 0.633 0.780
O 0.730 0.627 0.276
O 0.793 0.362 0.976
O 0.866 0.350 0.467
O 0.923 0.136 0.641
O 0.957 0.133 0.156


Entry 6:
A plane-wave DFT calculation with PBE with a Hubbard U was carried out for an optimized crystal structure of Ba2CeWO6.

Results
Space group: Fm-3m

Lattice parameters (Å, degrees): 6.102 6.102 6.102 60.00 60.00 60.00
Fractional positions:
Ba 0.250 0.250 0.250
Ba 0.750 0.750 0.750
Ce 0.000 0.000 0.000
W 0.500 0.500 0.500
O 0.263 0.263 0.737
O 0.263 0.737 0.263
O 0.263 0.737 0.737
O 0.737 0.263 0.263
O 0.737 0.263 0.737
O 0.737 0.737 0.263


Entry 7:
A plane-wave DFT calculation with PBE with a Hubbard U was carried out for an optimized crystal structure of MnOF.

Results
Space group: P1

Lattice parameters (Å, degrees): 5.656 6.936 7.083 93.48 91.92 90.99
Fractional positions:
Mn 0.000 0.000 0.000
Mn 0.019 0.504 0.508
Mn 0.283 0.755 0.270
Mn 0.344 0.253 0.764
Mn 0.387 0.253 0.265
Mn 0.446 0.747 0.775
Mn 0.737 0.002 0.507
Mn 0.808 0.501 0.022
O 0.057 0.532 0.243
O 0.227 0.802 0.003
O 0.250 0.195 0.016
O 0.254 0.699 0.538
O 0.261 0.310 0.509
O 0.485 0.991 0.315
O 0.510 0.009 0.704
O 0.511 0.489 0.836
F 0.012 0.466 0.783
F 0.535 0.518 0.223
F 0.744 0.797 0.970
F 0.767 0.203 0.041
F 0.770 0.301 0.467
F 0.771 0.700 0.544
F 0.978 0.967 0.305
F 0.993 0.042 0.706


Entry 8:
A plane-wave DFT calculation with PBE with a Hubbard U was carried out for an optimized crystal structure of MgCo6O8F4.

Results
Energy above the most stable polymorph in this dataset, eV/atom: 0.0418
Space group: P-1

Lattice parameters (Å, degrees): 4.900 4.907 8.688 90.72 90.55 100.44
Fractional positions:
Mg 0.000 0.000 0.000
Co 0.000 0.500 0.500
Co 0.035 0.473 0.826
Co 0.490 0.015 0.673
Co 0.500 0.000 0.000
Co 0.510 0.985 0.327
Co 0.965 0.527 0.174
O 0.187 0.697 0.335
O 0.198 0.686 0.003
O 0.213 0.682 0.666
O 0.305 0.158 0.847
O 0.695 0.842 0.153
O 0.787 0.318 0.334
O 0.802 0.314 0.997
O 0.813 0.303 0.665
F 0.273 0.170 0.168
F 0.318 0.179 0.501
F 0.682 0.821 0.499
F 0.727 0.830 0.832


| no. | final energy (eV/cell) | total magnetization (μB/cell) | ΔE_f (kJ/mol of formula units) |
| --- | --- | --- | --- |
| 1 | -470.94 | 40.00 | -3524 |
| 2 | -250.53 | 8.00 | -2178 |
| 3 | -406.33 | 0.00 | -7898 |
| 4 | -286.65 | 4.00 | -5093 |
| 5 | -185.44 | 12.55 | -5571 |
| 6 | -74.20 | 2.00 | -2928 |
| 7 | -161.30 | 32.00 | -671 |
| 8 | -104.01 | 16.02 | -2865 |